Compound: Na2PO3F
Source: the Materials Project database
Functional: PBE
Structure: optimized geometry

Calculated values
Energy (eV per cell): -330.0
Piezoelectric modulus e_max (C/m2): 0.071
Space-group type: P2_12_12_1 (19)
Crystal system: orthorhombic
ΔH_f (0 K) (eV/atom): -2.7081

Cell: 5.505 7.025 19.231 Å, 90.00 90.00 90.00°
Atoms (fractional coordinates):
F1 0.184 0.270 0.684
O1 0.477 0.939 0.570
Na1 0.253 0.289 0.378
O2 0.217 0.478 0.787
O3 0.015 0.966 0.562
O4 0.314 0.381 0.163
P1 0.260 0.020 0.531
Na2 0.742 0.920 0.461
P2 0.740 0.520 0.969
Na3 0.716 0.561 0.309
Na4 0.258 0.420 0.039
F2 0.816 0.770 0.816
O5 0.515 0.534 0.438
Na5 0.262 0.779 0.366
O6 0.074 0.052 0.298
F3 0.282 0.251 0.545
F4 0.316 0.730 0.184
P3 0.198 0.527 0.212
O7 0.222 0.996 0.953
O8 0.485 0.034 0.062
O9 0.783 0.978 0.713
F5 0.782 0.249 0.455
O10 0.814 0.119 0.837
Na6 0.238 0.221 0.866
Na7 0.738 0.279 0.134
P4 0.240 0.980 0.031
Na8 0.247 0.711 0.878
P5 0.760 0.480 0.469
P6 0.802 0.027 0.288
O11 0.778 0.496 0.547
Na9 0.216 0.939 0.691
Na10 0.753 0.211 0.622
O12 0.278 0.004 0.453
Na11 0.762 0.721 0.634
F6 0.218 0.749 0.045
O13 0.574 0.448 0.702
Na12 0.747 0.789 0.122
P7 0.698 0.973 0.788
F7 0.718 0.751 0.955
Na13 0.284 0.061 0.191
O14 0.023 0.061 0.070
O15 0.977 0.561 0.430
Na14 0.784 0.439 0.809
O16 0.722 0.504 0.047
Na15 0.242 0.580 0.539
P8 0.302 0.473 0.712
Na16 0.758 0.080 0.961
O17 0.283 0.522 0.287
O18 0.985 0.466 0.938
O19 0.686 0.881 0.337
O20 0.426 0.948 0.798
O21 0.717 0.022 0.213
O22 0.186 0.619 0.663
O23 0.523 0.439 0.930
O24 0.926 0.552 0.202
F8 0.684 0.230 0.316